This record from the Materials Project database describes crystalline CePOs2C at its relaxed geometry. The functional is PBE.

Geometry as POSCAR:
```
CePOs2C
1.0
-3.158 4.867 1.005
-0.587 -5.585 -1.771
-0.986 -2.028 6.724
Ce Os C P
2 4 2 2
direct
0.547 0.453 0.250 Ce
0.453 0.547 0.750 Ce
0.833 0.167 0.054 Os
0.167 0.833 0.554 Os
0.167 0.833 0.946 Os
0.833 0.167 0.446 Os
0.000 0.000 0.500 C
0.000 0.000 0.000 C
0.271 0.729 0.250 P
0.729 0.271 0.750 P
```

* spin magnetization: 0.005 μB per cell
* space group: No. 63
* E_form: -234 kJ/mol of formula units


This record from the Materials Project database describes crystalline Ce12Re5C15 at its relaxed geometry. The functional is PBE.

Geometry as POSCAR:
```
Ce12Re5C15
1.0
-2.780 -8.906 5.529
7.368 -0.622 -7.933
3.793 0.956 3.448
Re C Ce
5 15 12
direct
0.849 0.849 0.000 Re
0.151 0.000 0.000 Re
0.667 0.333 0.500 Re
0.333 0.667 0.500 Re
0.000 0.151 0.000 Re
0.535 0.815 0.500 C
0.280 0.465 0.500 C
0.215 0.215 0.000 C
0.454 0.000 0.000 C
0.546 0.546 0.000 C
0.785 0.000 0.000 C
0.329 0.000 0.000 C
0.000 0.785 0.000 C
0.815 0.535 0.500 C
0.000 0.454 0.000 C
0.000 0.329 0.000 C
0.185 0.720 0.500 C
0.671 0.671 0.000 C
0.720 0.185 0.500 C
0.465 0.280 0.500 C
0.573 0.573 0.500 Ce
0.463 0.273 0.000 Ce
0.190 0.727 0.000 Ce
0.791 0.000 0.500 Ce
0.810 0.537 0.000 Ce
0.209 0.209 0.500 Ce
0.727 0.190 0.000 Ce
0.000 0.427 0.500 Ce
0.273 0.463 0.000 Ce
0.537 0.810 0.000 Ce
0.000 0.791 0.500 Ce
0.427 0.000 0.500 Ce
```

* spin magnetization: 3.550 μB per cell
* space group: No. 189
* E_form: -859 kJ/mol of formula units


This record from the Materials Project database describes crystalline Ce2ReC2 at its relaxed geometry. The functional is PBE.

Geometry as POSCAR:
```
Ce2ReC2
1.0
5.267 0.000 0.000
0.000 6.591 0.000
0.000 0.000 9.970
Ce C Re
8 8 4
direct
0.250 0.308 0.046 Ce
0.750 0.192 0.546 Ce
0.750 0.023 0.223 Ce
0.250 0.477 0.723 Ce
0.750 0.523 0.277 Ce
0.250 0.977 0.777 Ce
0.750 0.692 0.954 Ce
0.250 0.808 0.454 Ce
0.750 0.468 0.743 C
0.250 0.675 0.949 C
0.250 0.532 0.257 C
0.750 0.825 0.449 C
0.250 0.175 0.551 C
0.750 0.325 0.051 C
0.750 0.968 0.757 C
0.250 0.032 0.243 C
0.250 0.271 0.362 Re
0.250 0.771 0.138 Re
0.750 0.229 0.862 Re
0.750 0.729 0.638 Re
```

* space group: No. 62
* E_form: -142 kJ/mol of formula units


This record from the Materials Project database describes crystalline Ce2Re2Si2C at its relaxed geometry. The functional is PBE.

Geometry as POSCAR:
```
Ce2Re2Si2C
1.0
2.054 5.524 0.000
-2.054 5.524 0.000
0.000 4.335 5.515
Re Si Ce C
2 2 2 1
direct
0.792 0.792 0.094 Re
0.208 0.208 0.906 Re
0.144 0.144 0.312 Si
0.856 0.856 0.688 Si
0.571 0.571 0.702 Ce
0.429 0.429 0.298 Ce
0.000 0.000 0.000 C
```

* space group: No. 12
* E_form: -375 kJ/mol of formula units


This record from the Materials Project database describes crystalline Ce3SnC at its relaxed geometry. The functional is PBE.

Geometry as POSCAR:
```
Ce3SnC
1.0
-2.098 5.283 1.353
-3.863 -2.463 3.627
3.849 0.408 4.377
Ce C Sn
3 1 1
direct
0.500 0.000 0.500 Ce
0.000 0.500 0.500 Ce
0.500 0.500 0.000 Ce
0.000 0.000 0.000 C
0.500 0.500 0.500 Sn
```

* spin magnetization: 3.675 μB per cell
* space group: No. 221
* E_form: 779 kJ/mol of formula units


This record from the Materials Project database describes crystalline CeThC2 at its relaxed geometry. The functional is PBE.

Geometry as POSCAR:
```
CeThC2
1.0
-3.517 2.141 -4.982
-5.924 0.812 -2.455
-4.457 4.220 -2.025
C Ce Th
2 1 1
direct
0.751 0.751 0.751 C
0.249 0.249 0.249 C
0.500 0.500 0.500 Ce
0.000 0.000 0.000 Th
```

* spin magnetization: 0.000 μB per cell
* space group: No. 166
* E_form: -61 kJ/mol of formula units